# 1
Crystalline Li3SiO4 at its relaxed geometry. Source: Materials Project, functional PBE-GGA.

Cell and atoms, written as extended XYZ:
```
16
Lattice="3.725 -3.737 0.000 3.725 3.737 0.000 0.000 0.000 6.255" Properties=species:S:1:pos:R:3 pbc="T T T"
Li 3.725 2.281 4.691
Li 2.401 0.000 0.000
Li 2.401 0.000 3.127
Li 5.049 0.000 0.000
Li 5.049 0.000 3.127
Li 3.725 -2.281 1.564
Si 3.725 2.385 1.564
Si 3.725 -2.385 4.691
O 1.277 0.302 4.691
O 1.277 -0.302 1.564
O 3.725 1.470 0.208
O 3.725 1.470 2.919
O 3.725 -1.470 3.336
O 3.725 -1.470 6.047
O 6.173 0.302 4.691
O 6.173 -0.302 1.564
```

Results
- space group = Cmcm, No. 63
- E (eV per atom) = -6.050
- formation enthalpy at 0 K (eV/atom) = -2.526

***

# 2
Crystalline Sr2UCo at its relaxed geometry. Source: Materials Project, functional PBE-GGA.

Cell and atoms, written as extended XYZ:
```
16
Lattice="8.017 0.000 0.000 0.000 8.017 0.000 0.000 0.000 8.017" Properties=species:S:1:pos:R:3 pbc="T T T"
Sr 2.004 2.004 2.004
Sr 2.004 2.004 6.013
Sr 2.004 6.013 2.004
Sr 2.004 6.013 6.013
Sr 6.013 2.004 2.004
Sr 6.013 2.004 6.013
Sr 6.013 6.013 2.004
Sr 6.013 6.013 6.013
U 0.000 0.000 0.000
U 0.000 4.009 4.009
U 4.009 0.000 4.009
U 4.009 4.009 0.000
Co 0.000 0.000 4.009
Co 0.000 4.009 0.000
Co 4.009 0.000 0.000
Co 4.009 4.009 4.009
```

Results
- space group = Fm-3m, No. 225
- E (eV per atom) = -3.932
- formation enthalpy at 0 K (eV/atom) = 1.513

***

# 3
Crystalline NpCdPt2 at its relaxed geometry. Source: Materials Project, functional PBE-GGA.

Cell and atoms, written as extended XYZ:
```
16
Lattice="6.755 0.000 0.000 0.000 6.755 0.000 0.000 0.000 6.755" Properties=species:S:1:pos:R:3 pbc="T T T"
Np 0.000 0.000 0.000
Np 0.000 3.378 3.378
Np 3.378 0.000 3.378
Np 3.378 3.378 0.000
Cd 0.000 0.000 3.378
Cd 0.000 3.378 0.000
Cd 3.378 0.000 0.000
Cd 3.378 3.378 3.378
Pt 1.689 1.689 1.689
Pt 1.689 1.689 5.067
Pt 1.689 5.067 1.689
Pt 1.689 5.067 5.067
Pt 5.067 1.689 1.689
Pt 5.067 1.689 5.067
Pt 5.067 5.067 1.689
Pt 5.067 5.067 5.067
```

Results
- space group = Fm-3m, No. 225
- E (eV per atom) = -6.741
- formation enthalpy at 0 K (eV/atom) = -0.238

***

# 4
Crystalline Te2MoWS2 at its relaxed geometry. Source: Materials Project, functional PBE-GGA.

Cell and atoms, written as extended XYZ:
```
12
Lattice="3.359 0.000 0.000 -1.680 2.909 0.000 0.000 0.000 38.341" Properties=species:S:1:pos:R:3 pbc="T T T"
Te 0.000 0.000 0.000
Te 0.000 0.000 3.781
Te 0.000 0.000 14.393
Te 0.000 0.000 18.200
Mo 0.000 0.000 9.093
Mo 1.680 0.970 1.890
W 0.000 0.000 23.501
W 1.680 0.970 16.297
S 1.680 0.970 7.580
S 1.680 0.970 10.607
S 1.680 0.970 21.981
S 1.680 0.970 25.019
```

Results
- space group = P3m1, No. 156
- E above lowest polymorph (eV/atom) = 0.0369
- E (eV per atom) = -6.823
- formation enthalpy at 0 K (eV/atom) = -0.597

***

# 5
Crystalline Nb3NiSe6 at its relaxed geometry. Source: Materials Project, functional PBE-GGA.

Cell and atoms, written as extended XYZ:
```
20
Lattice="6.060 0.000 0.000 -3.030 5.248 0.000 0.000 0.000 12.530" Properties=species:S:1:pos:R:3 pbc="T T T"
Nb 0.000 0.000 0.000
Nb 0.000 0.000 6.265
Nb 0.000 3.499 0.009
Nb 0.000 3.499 6.255
Nb 3.030 1.749 6.274
Nb 3.030 1.749 12.520
Ni 0.000 3.499 9.397
Ni 3.030 1.749 3.132
Se -0.997 1.745 4.594
Se -2.017 3.512 1.670
Se 0.997 1.745 1.670
Se -1.020 5.239 4.594
Se 2.010 0.009 7.935
Se 1.013 1.736 10.859
Se 2.017 3.512 4.594
Se 1.020 5.239 1.670
Se 4.050 0.009 10.859
Se 2.033 3.503 7.935
Se 5.047 1.736 7.935
Se 4.027 3.503 10.859
```

Results
- space group = P6_322, No. 182
- E (eV per atom) = -6.468
- formation enthalpy at 0 K (eV/atom) = -1.045

***

# 6
Crystalline Na2Ta2O5 at its relaxed geometry. Source: Materials Project, functional PBE-GGA.

Cell and atoms, written as extended XYZ:
```
18
Lattice="-7.917 2.825 2.807 7.917 -2.825 2.807 7.917 2.825 -2.807" Properties=species:S:1:pos:R:3 pbc="T T T"
Na 1.880 0.084 0.000
Na 6.037 0.084 0.000
Na 1.880 2.742 2.807
Na 6.037 2.742 2.807
Ta 0.000 2.825 0.013
Ta 0.000 0.000 2.820
Ta 3.958 -0.052 2.898
Ta 3.958 2.877 0.091
O 8.011 1.418 -1.388
O 7.823 -1.408 1.419
O 11.875 1.341 -1.238
O 2.018 2.665 0.050
O 5.899 2.665 0.050
O -0.094 1.408 1.419
O 8.011 1.408 1.419
O 2.018 0.160 2.857
O 5.899 0.160 2.857
O -3.958 1.485 1.569
```

Results
- space group = Ima2, No. 46
- E (eV per atom) = -7.962
- formation enthalpy at 0 K (eV/atom) = -2.666

***

# 7
Crystalline Ba3GaAs3 at its relaxed geometry. Source: Materials Project, functional PBE-GGA.

Cell and atoms, written as extended XYZ:
```
56
Lattice="13.591 0.000 0.000 0.000 20.236 0.000 0.000 0.000 6.874" Properties=species:S:1:pos:R:3 pbc="T T T"
Ba 0.153 1.514 1.550
Ba 0.153 8.604 1.550
Ba 0.283 5.059 5.752
Ba 3.146 5.059 2.158
Ba 3.180 1.501 4.732
Ba 3.180 8.617 4.732
Ba 3.615 11.619 1.295
Ba 3.615 18.735 1.295
Ba 3.649 15.177 5.595
Ba 6.513 15.177 2.315
Ba 6.642 11.633 4.987
Ba 6.642 18.722 4.987
Ba 6.948 1.514 1.887
Ba 6.948 8.604 1.887
Ba 7.078 5.059 4.559
Ba 9.942 5.059 1.279
Ba 9.976 1.501 5.579
Ba 9.976 8.617 5.579
Ba 10.410 11.619 2.142
Ba 10.410 18.735 2.142
Ba 10.444 15.177 4.716
Ba 13.308 15.177 1.122
Ba 13.438 11.633 5.324
Ba 13.438 18.722 5.324
Ga 1.731 13.458 3.320
Ga 1.731 16.896 3.320
Ga 5.064 3.340 6.757
Ga 5.064 6.778 6.757
Ga 8.526 13.458 0.117
Ga 8.526 16.896 0.117
Ga 11.860 3.340 3.554
Ga 11.860 6.778 3.554
As 0.224 11.971 1.881
As 0.224 18.384 1.881
As 0.305 15.177 4.634
As 3.116 15.177 2.019
As 3.268 11.990 4.759
As 3.268 18.364 4.759
As 3.528 1.872 1.322
As 3.528 8.246 1.322
As 3.680 5.059 5.456
As 6.491 5.059 1.197
As 6.571 1.852 5.318
As 6.571 8.266 5.318
As 7.020 11.971 1.556
As 7.020 18.384 1.556
As 7.100 15.177 5.677
As 9.911 15.177 1.418
As 10.063 11.990 5.552
As 10.063 18.364 5.552
As 10.323 1.872 2.115
As 10.323 8.246 2.115
As 10.475 5.059 4.855
As 13.286 5.059 2.240
As 13.366 1.852 4.993
As 13.366 8.266 4.993
```

Results
- space group = Pnma, No. 62
- E (eV per atom) = -4.257
- formation enthalpy at 0 K (eV/atom) = -1.005

***

# 8
Crystalline LaPd2 at its relaxed geometry. Source: Materials Project, functional PBE-GGA.

Cell and atoms, written as extended XYZ:
```
6
Lattice="4.008 0.000 0.000 0.000 4.008 0.000 0.000 0.000 8.943" Properties=species:S:1:pos:R:3 pbc="T T T"
La 0.000 0.000 0.000
La 2.004 2.004 4.472
Pd 0.000 2.004 2.236
Pd 0.000 2.004 6.708
Pd 2.004 0.000 2.236
Pd 2.004 0.000 6.708
```

Results
- space group = I4/mmm, No. 139
- E (eV per atom) = -5.699
- formation enthalpy at 0 K (eV/atom) = -0.600

***

# 9
Crystalline ErInPd2 at its relaxed geometry. Source: Materials Project, functional PBE-GGA.

Cell and atoms, written as extended XYZ:
```
16
Lattice="6.770 0.000 0.000 0.000 6.770 0.000 0.000 0.000 6.770" Properties=species:S:1:pos:R:3 pbc="T T T"
Er 0.000 0.000 0.000
Er 0.000 3.385 3.385
Er 3.385 0.000 3.385
Er 3.385 3.385 0.000
In 0.000 0.000 3.385
In 0.000 3.385 0.000
In 3.385 0.000 0.000
In 3.385 3.385 3.385
Pd 1.693 1.693 1.693
Pd 1.693 1.693 5.078
Pd 1.693 5.078 1.693
Pd 1.693 5.078 5.078
Pd 5.078 1.693 1.693
Pd 5.078 1.693 5.078
Pd 5.078 5.078 1.693
Pd 5.078 5.078 5.078
```

Results
- space group = Fm-3m, No. 225
- E (eV per atom) = -5.261
- formation enthalpy at 0 K (eV/atom) = -0.841

***

# 10
Crystalline Pm2ZnGe at its relaxed geometry. Source: Materials Project, functional PBE-GGA.

Cell and atoms, written as extended XYZ:
```
16
Lattice="7.294 0.000 0.000 0.000 7.294 0.000 0.000 0.000 7.294" Properties=species:S:1:pos:R:3 pbc="T T T"
Pm 1.824 1.824 1.824
Pm 1.824 1.824 5.471
Pm 1.824 5.471 1.824
Pm 1.824 5.471 5.471
Pm 5.471 1.824 1.824
Pm 5.471 1.824 5.471
Pm 5.471 5.471 1.824
Pm 5.471 5.471 5.471
Zn 0.000 0.000 0.000
Zn 0.000 3.647 3.647
Zn 3.647 0.000 3.647
Zn 3.647 3.647 0.000
Ge 0.000 0.000 3.647
Ge 0.000 3.647 0.000
Ge 3.647 0.000 0.000
Ge 3.647 3.647 3.647
```

Results
- space group = Fm-3m, No. 225
- E (eV per atom) = -4.377
- formation enthalpy at 0 K (eV/atom) = -0.531

***

# 11
Crystalline Na3ScF6 at its relaxed geometry. Source: Materials Project, functional PBE-GGA.

Cell and atoms, written as extended XYZ:
```
10
Lattice="0.000 4.215 4.215 4.215 0.000 4.215 4.215 4.215 0.000" Properties=species:S:1:pos:R:3 pbc="T T T"
Na 0.000 0.000 0.000
Na 2.108 2.108 2.108
Na 6.323 6.323 6.323
Sc 4.215 4.215 4.215
F 4.215 4.215 2.200
F 4.215 2.200 4.215
F 6.230 4.215 4.215
F 2.200 4.215 4.215
F 4.215 6.230 4.215
F 4.215 4.215 6.230
```

Results
- space group = Fm-3m, No. 225
- E above lowest polymorph (eV/atom) = 0.1034
- E (eV per atom) = -5.321
- formation enthalpy at 0 K (eV/atom) = -3.419

***

# 12
Crystalline Cu2S at its relaxed geometry. Source: Materials Project, functional PBE-GGA.

Cell and atoms, written as extended XYZ:
```
6
Lattice="3.686 0.000 0.000 0.000 6.123 0.000 0.000 0.000 4.055" Properties=species:S:1:pos:R:3 pbc="T T T"
Cu 0.000 1.282 0.000
Cu 0.000 4.841 0.000
Cu 1.843 1.780 2.027
Cu 1.843 4.343 2.027
S 0.000 3.062 1.331
S 1.843 0.000 3.358
```

Results
- space group = Imm2, No. 44
- E (eV per atom) = -4.193
- formation enthalpy at 0 K (eV/atom) = -0.249

***

# 13
Crystalline Y2B5Pd14 at its relaxed geometry. Source: Materials Project, functional PBE-GGA.

Cell and atoms, written as extended XYZ:
```
42
Lattice="-4.152 4.152 8.607 4.152 -4.152 8.607 4.152 4.152 -8.607" Properties=species:S:1:pos:R:3 pbc="T T T"
Y 4.152 2.076 -2.736
Y 0.000 2.076 1.568
Y 4.152 2.076 7.040
Y 0.000 2.076 11.343
B 1.750 0.000 0.000
B 6.553 0.000 0.000
B 2.076 3.826 -4.304
B 2.076 -0.325 4.304
B 4.152 2.076 2.152
B 1.750 4.152 0.000
B 2.401 0.000 8.607
B 0.000 2.076 6.455
B -2.076 4.477 4.304
B 2.076 4.477 4.304
Pd 4.152 0.000 0.000
Pd 4.152 -3.477 7.446
Pd 2.751 -2.076 5.464
Pd 5.552 -2.076 5.464
Pd 2.597 0.521 2.152
Pd 5.706 0.521 2.152
Pd 2.376 2.076 -0.332
Pd 5.927 2.076 -0.332
Pd 0.000 0.300 3.971
Pd 4.152 0.300 4.636
Pd 4.152 -0.675 7.446
Pd 2.597 4.673 -2.152
Pd 1.554 0.521 6.455
Pd -2.076 2.076 4.304
Pd 0.000 0.000 8.607
Pd 2.076 2.076 4.304
Pd 2.597 3.630 2.152
Pd 1.554 -0.521 10.759
Pd 0.000 4.827 1.161
Pd 0.000 3.851 3.971
Pd 4.152 3.851 4.636
Pd -1.775 2.076 8.940
Pd 1.775 2.076 8.940
Pd -1.554 3.630 6.455
Pd 1.554 3.630 6.455
Pd -1.401 6.227 3.143
Pd 1.401 6.227 3.143
Pd 0.000 7.628 1.161
```

Results
- space group = I4_1/amd, No. 141
- E (eV per atom) = -6.114
- formation enthalpy at 0 K (eV/atom) = -0.455

***

# 14
Crystalline Zn2Sb3O8 at its relaxed geometry. Source: Materials Project, functional PBE-GGA.

Cell and atoms, written as extended XYZ:
```
26
Lattice="6.539 0.000 0.000 -3.269 5.663 0.000 0.000 0.000 9.588" Properties=species:S:1:pos:R:3 pbc="T T T"
Zn 0.000 3.775 0.000
Zn 0.000 3.775 3.522
Zn 3.269 1.888 4.794
Zn 3.269 1.888 8.316
Sb 0.000 1.873 6.755
Sb -1.648 4.726 6.755
Sb 1.622 0.936 1.961
Sb 1.648 4.726 6.755
Sb 4.917 0.936 1.961
Sb 3.269 3.790 1.961
O 0.000 0.000 2.980
O 0.000 0.000 7.774
O -1.479 2.921 8.028
O 0.000 1.889 1.007
O -1.633 4.718 1.007
O 0.000 3.775 5.568
O 1.636 0.944 5.801
O 1.479 2.921 8.028
O 0.000 5.483 8.028
O 3.269 0.179 3.234
O 1.790 2.742 3.234
O 1.633 4.718 1.007
O 3.269 1.888 0.774
O 4.903 0.944 5.801
O 3.269 3.774 5.801
O 4.749 2.742 3.234
```

Results
- space group = P6_3mc, No. 186
- E above lowest polymorph (eV/atom) = 0.0409
- E (eV per atom) = -5.353
- formation enthalpy at 0 K (eV/atom) = -1.584

***

# 15
Crystalline Sr2LuUO6 at its relaxed geometry. Source: Materials Project, functional PBE-GGA.

Cell and atoms, written as extended XYZ:
```
10
Lattice="0.000 4.304 4.304 4.304 0.000 4.304 4.304 4.304 0.000" Properties=species:S:1:pos:R:3 pbc="T T T"
Sr 2.152 2.152 2.152
Sr 6.456 6.456 6.456
Lu 0.000 0.000 0.000
U 4.304 4.304 4.304
O 4.304 4.304 2.167
O 4.304 2.167 4.304
O 6.441 4.304 4.304
O 2.167 4.304 4.304
O 4.304 6.441 4.304
O 4.304 4.304 6.441
```

Results
- space group = Fm-3m, No. 225
- E (eV per atom) = -8.115
- formation enthalpy at 0 K (eV/atom) = -3.639

***

# 16
Crystalline P at its relaxed geometry. Source: Materials Project, functional PBE-GGA.

Cell and atoms, written as extended XYZ:
```
8
Lattice="11.572 0.000 0.000 0.000 8.297 0.000 0.000 0.000 7.156" Properties=species:S:1:pos:R:3 pbc="T T T"
P 0.000 0.878 0.367
P 0.000 3.271 3.945
P 0.000 5.027 3.211
P 0.000 7.420 6.788
P 5.786 0.878 3.211
P 5.786 3.271 6.788
P 5.786 5.027 0.367
P 5.786 7.420 3.945
```

Results
- space group = Cmce, No. 64
- E above lowest polymorph (eV/atom) = 0.8730
- E (eV per atom) = -4.540
- formation enthalpy at 0 K (eV/atom) = 0.873

***

# 17
Crystalline KNaMg14 at its relaxed geometry. Source: Materials Project, functional PBE-GGA.

Cell and atoms, written as extended XYZ:
```
16
Lattice="6.681 0.000 0.000 -3.341 5.786 0.000 0.000 0.000 10.406" Properties=species:S:1:pos:R:3 pbc="T T T"
K 0.000 0.000 0.000
Na 0.000 0.000 5.203
Mg -1.661 2.899 5.203
Mg -1.648 2.906 0.000
Mg 0.000 2.003 2.671
Mg 0.000 2.003 7.735
Mg -1.606 4.785 2.671
Mg -1.606 4.785 7.735
Mg 1.648 2.906 0.000
Mg 0.000 5.760 0.000
Mg 1.661 2.899 5.203
Mg 0.000 5.775 5.203
Mg 1.606 4.785 2.671
Mg 1.606 4.785 7.735
Mg 3.341 1.929 2.583
Mg 3.341 1.929 7.823
```

Results
- space group = P-6m2, No. 187
- E above lowest polymorph (eV/atom) = 0.0150
- E (eV per atom) = -1.429
- formation enthalpy at 0 K (eV/atom) = 0.123

***

# 18
Crystalline Cs2As3 at its relaxed geometry. Source: Materials Project, functional PBE-GGA.

Cell and atoms, written as extended XYZ:
```
10
Lattice="0.000 5.325 8.024 4.935 0.000 8.024 4.935 5.325 0.000" Properties=species:S:1:pos:R:3 pbc="T T T"
Cs 4.935 2.467 8.024
Cs 2.468 2.662 4.012
Cs 7.403 7.987 12.036
Cs 4.935 8.183 8.024
As 7.028 5.325 6.814
As 4.935 5.325 5.590
As 7.028 5.325 9.234
As 2.842 5.325 6.814
As 4.935 5.325 10.458
As 2.842 5.325 9.234
```

Results
- space group = Fmmm, No. 69
- E (eV per atom) = -3.598
- formation enthalpy at 0 K (eV/atom) = -0.444